# 1
## NaCe3 (PBE)

Data for crystalline NaCe3 at its relaxed geometry.

For the raw total energy, the calculation gives -4.352 eV per atom. The value obtained for the total moment is 3.68 μB per formula unit. Its calculated formation energy is 0.429 eV per atom.

Cell lengths 4.942, 4.942, 4.942 Å; angles 90.00, 90.00, 90.00 degrees
Space group Pm-3m (No. 221)
One atom of each set of equivalent atoms:
Na (0.000, 0.000, 0.000)
Ce (0.000, 0.500, 0.500)

=====

# 2
## Mn20Mo3C6 (PBE)

Data for crystalline Mn20Mo3C6 at its relaxed geometry.

For the raw total energy, the calculation gives -9.418 eV per atom. The value obtained for the total moment is 16.85 μB per formula unit. Its calculated formation energy is -0.068 eV per atom.

Cell lengths 10.530, 10.530, 10.530 Å; angles 90.00, 90.00, 90.00 degrees
Space group Fm-3m (No. 225)
One atom of each set of equivalent atoms:
Mn (0.000, 0.170, 0.170)
Mn (0.116, 0.116, 0.384)
Mo (0.000, 0.000, 0.000)
Mo (0.250, 0.250, 0.250)
C (0.000, 0.000, 0.273)

=====

# 3
## Cr2HgS4 (PBE)

Data for crystalline Cr2HgS4 at its relaxed geometry.

For the raw total energy, the calculation gives -5.504 eV per atom. The value obtained for the total moment is 6.00 μB per formula unit. Its calculated formation energy is -0.626 eV per atom. Its energy above the most stable polymorph in this dataset is 228 meV per atom.

Cell lengths 6.559, 7.715, 12.379 Å; angles 97.80, 93.96, 90.35 degrees
Space group P-1 (No. 2)
One atom of each set of equivalent atoms:
Cr (0.134, 0.446, 0.295)
Cr (0.140, 0.957, 0.299)
Cr (0.249, 0.612, 0.999)
Cr (0.356, 0.797, 0.700)
Hg (0.249, 0.120, 0.002)
Hg (0.370, 0.298, 0.698)
S (0.078, 0.430, 0.112)
S (0.130, 0.877, 0.114)
S (0.173, 0.557, 0.629)
S (0.175, 0.012, 0.631)
S (0.262, 0.713, 0.368)
S (0.320, 0.216, 0.357)
S (0.369, 0.810, 0.880)
S (0.416, 0.365, 0.906)

=====

# 4
## Zn2Hg2Se2O9 (PBE)

Data for crystalline Zn2Hg2Se2O9 at its relaxed geometry.

For the raw total energy, the calculation gives -4.295 eV per atom. The value obtained for the total moment is 0.02 μB per formula unit. Its calculated formation energy is -1.064 eV per atom.

Cell lengths 17.001, 6.416, 4.944 Å; angles 90.00, 93.52, 90.00 degrees
Space group Cm (No. 8)
One atom of each set of equivalent atoms:
Zn (0.000, 0.248, 0.000)
Hg (0.172, 0.500, 0.969)
Hg (0.323, 0.500, 0.041)
Se (0.111, 0.000, 0.480)
Se (0.383, 0.000, 0.536)
O (0.045, 0.000, 0.723)
O (0.048, 0.500, 0.863)
O (0.096, 0.216, 0.286)
O (0.202, 0.000, 0.622)
O (0.400, 0.215, 0.728)
O (0.440, 0.000, 0.265)
O (0.447, 0.500, 0.130)

=====

# 5
## Na6Nb2Zn4Si3S6O36 (PBE)

Data for crystalline Na6Nb2Zn4Si3S6O36 at its relaxed geometry.

For the raw total energy, the calculation gives -6.254 eV per atom. The value obtained for the total moment is 0.00 μB per formula unit. Its calculated formation energy is -2.260 eV per atom.

Cell lengths 8.9546, 8.9546, 22.4819 Å; angles 90.00, 90.00, 120.00 degrees
Space group P3c1 (No. 158)
One atom of each set of equivalent atoms:
Na (0.0000, 0.0000, 0.0000)
Na (0.0420, 0.3597, 0.0945)
Na (0.3333, 0.6667, 0.1768)
Na (0.6667, 0.3333, 0.3368)
Nb (0.0000, 0.0000, 0.1576)
Nb (0.6667, 0.3333, 0.4947)
Zn (0.0000, 0.0000, 0.3599)
Zn (0.3333, 0.6667, 0.0285)
Zn (0.3333, 0.6667, 0.3290)
Zn (0.6667, 0.3333, 0.1870)
Si (0.3762, 0.0401, 0.5979)
S (0.0012, 0.2946, 0.2641)
S (0.0352, 0.3686, 0.9269)
O (0.0102, 0.1916, 0.9219)
O (0.0136, 0.1978, 0.2079)
O (0.1181, 0.4757, 0.8744)
O (0.1284, 0.4437, 0.9832)
O (0.1530, 0.4881, 0.5849)
O (0.1649, 0.4624, 0.2632)
O (0.1880, 0.0357, 0.6040)
O (0.2014, 0.0124, 0.3160)
O (0.4624, 0.1531, 0.2596)
O (0.4660, 0.1773, 0.5392)
O (0.4969, 0.1115, 0.6546)
O (0.4969, 0.1429, 0.9308)

=====

# 6
## BaF3 (PBE)

Data for crystalline BaF3 at its relaxed geometry.

For the raw total energy, the calculation gives -4.701 eV per atom. Its calculated formation energy is -3.131 eV per atom.

Cell lengths 4.232, 4.232, 7.216 Å; angles 90.00, 90.00, 90.00 degrees
Space group I4/mmm (No. 139)
One atom of each set of equivalent atoms:
Ba (0.000, 0.000, 0.000)
F (0.000, 0.000, 0.500)
F (0.000, 0.500, 0.250)

=====

# 7
## LiSmSn2 (PBE)

Data for crystalline LiSmSn2 at its relaxed geometry.

For the raw total energy, the calculation gives -4.185 eV per atom. The value obtained for the total moment is 0.00 μB per formula unit. Its calculated formation energy is -0.523 eV per atom.

Cell lengths 4.463, 19.190, 4.537 Å; angles 90.00, 90.00, 90.00 degrees
Space group Cmcm (No. 63)
One atom of each set of equivalent atoms:
Li (0.000, 0.175, 0.250)
Sm (0.000, 0.395, 0.250)
Sn (0.000, 0.045, 0.250)
Sn (0.000, 0.249, 0.750)

=====

# 8
## Rb3Cu2Cl7 (PBE)

Data for crystalline Rb3Cu2Cl7 at its relaxed geometry.

For the raw total energy, the calculation gives -3.260 eV per atom. Its calculated formation energy is -1.612 eV per atom.

Cell lengths 7.326, 25.084, 7.324 Å; angles 90.00, 90.00, 90.00 degrees
Space group Ccce (No. 68, origin choice 2)
One atom of each set of equivalent atoms:
Rb (0.000, 0.071, 0.250)
Rb (0.000, 0.250, 0.250)
Cu (0.000, 0.155, 0.750)
Cl (0.000, 0.060, 0.750)
Cl (0.000, 0.250, 0.750)
Cl (0.216, 0.158, 0.534)

=====

# 9
## MgSi (PBE)

Data for crystalline MgSi at its relaxed geometry.

For the raw total energy, the calculation gives -3.456 eV per atom. The value obtained for the total moment is 0.00 μB per formula unit. Its calculated formation energy is 0.092 eV per atom.

Cell lengths 4.462, 5.264, 10.360 Å; angles 91.69, 92.15, 113.50 degrees
Space group P-1 (No. 2)
One atom of each set of equivalent atoms:
Mg (0.045, 0.105, 0.349)
Mg (0.318, 0.659, 0.204)
Mg (0.379, 0.733, 0.902)
Si (0.092, 0.138, 0.907)
Si (0.249, 0.490, 0.643)
Si (0.371, 0.763, 0.460)

=====

# 10
## EuHo2O4 (PBE)

Data for crystalline EuHo2O4 at its relaxed geometry.

For the raw total energy, the calculation gives -8.959 eV per atom. The value obtained for the total moment is 7.00 μB per formula unit. Its calculated formation energy is -3.750 eV per atom.

Cell lengths 10.019, 3.401, 11.913 Å; angles 90.00, 90.00, 90.00 degrees
Space group Pnma (No. 62)
One atom of each set of equivalent atoms:
Eu (0.249, 0.250, 0.149)
Ho (0.076, 0.250, 0.889)
Ho (0.079, 0.250, 0.388)
O (0.014, 0.750, 0.783)
O (0.076, 0.250, 0.578)
O (0.127, 0.750, 0.020)
O (0.212, 0.750, 0.324)

=====

# 11
## U2SbS2 (PBE)

Data for crystalline U2SbS2 at its relaxed geometry.

For the raw total energy, the calculation gives -6.445 eV per atom. The value obtained for the total moment is 3.27 μB per formula unit. Its calculated formation energy is 0.351 eV per atom.

Cell lengths 2.851, 2.851, 16.201 Å; angles 90.00, 90.00, 90.00 degrees
Space group P4/mmm (No. 123)
One atom of each set of equivalent atoms:
U (0.000, 0.000, 0.198)
Sb (0.000, 0.000, 0.000)
S (0.000, 0.000, 0.356)

=====

# 12
## ErUTe4 (PBE)

Data for crystalline ErUTe4 at its relaxed geometry.

For the raw total energy, the calculation gives -5.667 eV per atom. Its calculated formation energy is -1.209 eV per atom.

Cell lengths 4.192, 6.098, 14.102 Å; angles 90.00, 90.00, 90.00 degrees
Space group Imm2 (No. 44)
One atom of each set of equivalent atoms:
Er (0.000, 0.000, 0.000)
U (0.000, 0.000, 0.724)
Te (0.000, 0.252, 0.360)
Te (0.000, 0.500, 0.066)
Te (0.000, 0.500, 0.657)

=====

> calculated formation energy of number 2 (Mn20Mo3C6)?

-0.068 eV per atom

=====

> What is the formula in the eleventh record?

U2SbS2